VASP calculation (GGA+U) on a relaxed VCr2Ni3P6O24 crystal.

- Calculated formation energy: -2.284 eV/atom

Cell lengths 8.3652, 8.3652, 8.3652 Å; angles 62.00, 62.00, 62.00 degrees
Fractional positions:
V 0.0000 0.0000 0.0000
Cr 0.3515 0.3515 0.3515
Cr 0.8528 0.8528 0.8528
Ni 0.2114 0.2114 0.2114
Ni 0.4961 0.4961 0.4961
Ni 0.7093 0.7093 0.7093
P 0.1065 0.4044 0.8060
P 0.3069 0.9010 0.6034
P 0.4044 0.8060 0.1065
P 0.6034 0.3069 0.9010
P 0.8060 0.1065 0.4044
P 0.9010 0.6034 0.3069
O 0.0272 0.2345 0.8690
O 0.0979 0.9221 0.7662
O 0.1059 0.4537 0.2867
O 0.1817 0.3593 0.9579
O 0.2345 0.8690 0.0272
O 0.2530 0.4027 0.6057
O 0.2867 0.1059 0.4537
O 0.3342 0.7469 0.5393
O 0.3593 0.9579 0.1817
O 0.4027 0.6057 0.2530
O 0.4537 0.2867 0.1059
O 0.4558 0.8626 0.6817
O 0.5393 0.3342 0.7469
O 0.6030 0.7915 0.9495
O 0.6057 0.2530 0.4027
O 0.6817 0.4558 0.8626
O 0.7469 0.5393 0.3342
O 0.7662 0.0979 0.9221
O 0.7915 0.9495 0.6030
O 0.8626 0.6817 0.4558
O 0.8690 0.0272 0.2345
O 0.9221 0.7662 0.0979
O 0.9495 0.6030 0.7915
O 0.9579 0.1817 0.3593